Entry 1:
Li4Mn2Co3Ni3O16: relaxed, PBE+U.

Summary:
Size of the total moment, μB/cell: 11.0
Electronic total energy, eV/atom: -5.664
ΔH_f (0 K), meV/atom: -1488
V, Å³ per cell: 255.6

a b c (Å): 5.694 5.660 9.137
angles (deg): 90.01 90.78 119.77
Positions (direct):
Li  0.325  0.662  0.896
Li  0.002  0.000  0.996
Li  0.006  0.003  0.497
Li  0.670  0.335  0.395
Mn  0.336  0.668  0.489
Mn  0.660  0.330  0.991
Co  0.170  0.830  0.214
Co  0.170  0.340  0.214
Co  0.342  0.171  0.715
Ni  0.661  0.831  0.214
Ni  0.829  0.660  0.714
Ni  0.829  0.169  0.714
O  0.175  0.836  0.596
O  0.043  0.522  0.338
O  0.330  0.665  0.112
O  0.003  0.002  0.305
O  0.006  0.003  0.803
O  0.175  0.339  0.596
O  0.479  0.959  0.340
O  0.479  0.521  0.340
O  0.334  0.167  0.100
O  0.674  0.837  0.594
O  0.512  0.475  0.843
O  0.512  0.038  0.843
O  0.658  0.329  0.613
O  0.834  0.669  0.096
O  0.951  0.475  0.843
O  0.834  0.165  0.096


Entry 2:
Ca3Fe4Sb6O24: relaxed, PBE+U.

Summary:
Size of the total moment, μB/cell: 0.0
Electronic total energy, eV/atom: -6.273
ΔH_f (0 K), meV/atom: -2006
V, Å³ per cell: 531.0

a b c (Å): 6.925 8.732 10.213
angles (deg): 107.41 95.51 112.03
Positions (direct):
Ca  0.500  0.000  0.500
Ca  0.439  0.465  0.812
Ca  0.561  0.535  0.188
Fe  0.230  0.638  0.598
Fe  0.770  0.362  0.402
Fe  0.962  0.814  0.007
Fe  0.038  0.186  0.993
Sb  0.887  0.389  0.758
Sb  0.113  0.611  0.242
Sb  0.799  0.777  0.660
Sb  0.447  0.078  0.885
Sb  0.201  0.223  0.340
Sb  0.553  0.922  0.115
O  0.774  0.927  0.569
O  0.226  0.073  0.431
O  0.598  0.246  0.794
O  0.402  0.754  0.206
O  0.729  0.287  0.566
O  0.271  0.713  0.434
O  0.918  0.622  0.561
O  0.082  0.378  0.439
O  0.359  0.256  0.985
O  0.641  0.744  0.015
O  0.831  0.468  0.259
O  0.169  0.532  0.741
O  0.513  0.625  0.658
O  0.039  0.070  0.143
O  0.961  0.930  0.857
O  0.674  0.103  0.297
O  0.326  0.897  0.703
O  0.967  0.711  0.147
O  0.033  0.289  0.853
O  0.825  0.590  0.843
O  0.175  0.410  0.157
O  0.700  0.088  0.002
O  0.300  0.912  0.998
O  0.487  0.375  0.342


Entry 3:
Sr4LiMn2Ga2O10: relaxed, PBE+U.

Summary:
Size of the total moment, μB/cell: 9.0
Electronic total energy, eV/atom: -6.368
Distance to the lowest polymorph of the same formula, meV/atom: 53
ΔH_f (0 K), meV/atom: -2562
V, Å³ per cell: 268.4

a b c (Å): 5.677 5.733 9.172
angles (deg): 71.87 72.17 90.26
Positions (direct):
Sr  0.091  0.628  0.802
Sr  0.905  0.372  0.216
Sr  0.605  0.070  0.802
Sr  0.379  0.911  0.216
Li  0.960  0.457  0.582
Mn  0.495  0.489  0.016
Mn  0.992  0.997  0.011
Ga  0.646  0.702  0.497
Ga  0.359  0.304  0.492
O  0.245  0.246  0.994
O  0.238  0.755  0.007
O  0.761  0.245  0.993
O  0.749  0.751  0.014
O  0.696  0.667  0.692
O  0.361  0.316  0.290
O  0.111  0.139  0.682
O  0.850  0.897  0.299
O  0.306  0.646  0.504
O  0.689  0.350  0.504


Entry 4:
LiNi4O8: relaxed, PBE+U.

Summary:
Size of the total moment, μB/cell: 1.0
Electronic total energy, eV/atom: -4.716
ΔH_f (0 K), meV/atom: -950
V, Å³ per cell: 138.0

a b c (Å): 5.675 5.675 5.279
angles (deg): 73.56 73.56 59.11
Positions (direct):
Li  0.000  0.000  0.500
Ni  0.748  0.748  0.011
Ni  0.250  0.750  0.000
Ni  0.750  0.250  0.000
Ni  0.252  0.252  0.989
O  0.611  0.611  0.804
O  0.113  0.628  0.809
O  0.628  0.113  0.809
O  0.108  0.108  0.794
O  0.892  0.892  0.206
O  0.372  0.887  0.191
O  0.887  0.372  0.191
O  0.389  0.389  0.196